DFT (meta-GGA r2SCAN) results for a relaxed Nd3Sn13Rh4 crystal.

Energy relative to the elements (eV/atom): -0.5845
Energy (eV for the cell shown): -1036.38

Unit cell a=9.7578 b=9.7578 c=9.7578 alpha=90.00 beta=90.00 gamma=90.00
With the nearest neighbours (Å) after each atom.
Space group Pm-3n (No. 223)
Asymmetric unit:
Nd  0.0000  0.2500  0.5000 x6  12 Sn 3.43, 4 Rh 3.45
Sn  0.0000  0.0000  0.0000 x2  12 Sn 3.35
Sn  0.0000  0.3071  0.1535 x24  2 Rh 2.67
Rh  0.2500  0.2500  0.2500 x8  6 Sn 2.67